DFT (PBE) results for crystalline CaAs2Ru2 at its relaxed geometry.

Formation energy from the elements   -0.66 eV/atom
Symmetry   I4/mmm (139)

POSCAR file:
```
CaAs2Ru2
1.0
-2.110 2.110 5.207
2.110 -2.110 5.207
2.110 2.110 -5.207
Ca Ru As
1 2 2
direct
0.000 0.000 0.000
0.250 0.750 0.500
0.750 0.250 0.500
0.633 0.633 0.000
0.367 0.367 0.000
```